No. 1
40
Lattice="9.3862 0.0000 0.0000 0.0000 9.7450 0.0000 0.0000 0.0000 7.7877" Properties=species:S:1:pos:R:3 comment="K2Na3TlO4 | Materials Project | GGA-PBE | optimized geometry" sg="No. 58" delta_e_f_ev_per_atom=-1.46 pbc="T T T"
K 0.0000 0.0000 1.9218
K 0.0000 0.0000 5.8659
K 2.2153 2.4379 3.8938
K 2.4778 7.3104 0.0000
K 4.6931 4.8725 1.9721
K 4.6931 4.8725 5.8156
K 6.9085 2.4346 0.0000
K 7.1709 7.3070 3.8938
Na 0.1566 6.3422 1.9439
Na 0.1566 6.3422 5.8437
Na 2.2550 5.7002 3.8938
Na 2.4381 0.8277 0.0000
Na 4.5365 1.4697 1.9499
Na 4.5365 1.4697 5.8378
Na 4.8497 8.2753 1.9499
Na 4.8497 8.2753 5.8378
Na 6.9481 8.9173 0.0000
Na 7.1312 4.0448 3.8938
Na 9.2296 3.4028 1.9439
Na 9.2296 3.4028 5.8437
Tl 2.1336 3.6926 0.0000
Tl 2.5595 8.5651 3.8938
Tl 6.8267 1.1799 3.8938
Tl 7.2526 6.0524 0.0000
O 0.4533 2.1666 0.0000
O 0.5737 7.5659 3.8938
O 1.8622 4.7182 1.9089
O 1.8622 4.7182 5.8788
O 2.8310 9.5907 1.9850
O 2.8310 9.5907 5.8027
O 4.1194 2.6934 0.0000
O 4.2398 7.0391 3.8938
O 5.1464 2.7059 3.8938
O 5.2668 7.0516 0.0000
O 6.5553 0.1543 1.9850
O 6.5553 0.1543 5.8027
O 7.5241 5.0268 1.9089
O 7.5241 5.0268 5.8788
O 8.8125 2.1791 3.8938
O 8.9329 7.5784 0.0000


No. 2
26
Lattice="7.2565 -3.4692 0.0000 7.2565 3.4692 0.0000 -6.1818 0.0000 8.1746" Properties=species:S:1:pos:R:3 comment="YP3O9 | Materials Project | GGA-PBE | optimized geometry" sg="No. 9" delta_e_f_ev_per_atom=-3.01 de_polymorph_mev_per_atom=10 e_ij_max_c_m2=0.7 pbc="T T T"
Y 4.1656 1.7714 4.0873
Y 7.2565 -1.7714 0.0000
P -2.9229 0.7205 6.8442
P 0.9652 0.7170 5.4346
P 0.1680 -0.7205 2.7569
P 4.0561 -0.7170 1.3473
P 9.3592 0.5396 1.9733
P 6.2683 -0.5396 6.0606
O 0.5337 0.1400 1.5853
O -2.5572 -0.1400 5.6726
O 5.9817 2.3834 2.9222
O 3.8271 0.0971 0.0117
O 2.3482 1.2996 5.3607
O 0.7362 -0.0971 4.0990
O 3.7121 0.1260 2.5405
O 0.6212 -0.1260 6.6278
O 8.2966 1.4036 2.7918
O 10.2125 1.5944 1.1229
O 5.5220 0.3005 5.0746
O 5.4391 -1.2996 1.2734
O 8.6129 -0.3005 0.9873
O 7.1445 0.1498 7.0607
O 10.2354 -0.1498 2.9734
O 2.8908 -2.3834 7.0095
O 5.2057 -1.4036 6.8791
O 7.1216 -1.5944 5.2102